Entry from the Materials Project database: Ca5Ga2Sb6 after structural relaxation (meta-GGA r2SCAN).

Results
As for the final energy: -17.2389 eV/atom. The magnetic moment is 0.000 μB/f.u.

Unit cell a=12.154 b=14.051 c=4.469 alpha=90.00 beta=90.00 gamma=90.00
Space group Pbam (No. 55)
Inequivalent atoms, fractional coordinates:
Ca: 0.000 0.000 0.000 (multiplicity 2)
Ca: 0.092 0.248 0.000 (multiplicity 4)
Ca: 0.173 0.516 0.000 (multiplicity 4)
Ga: 0.170 0.711 0.500 (multiplicity 4)
Sb: 0.024 0.400 0.500 (multiplicity 4)
Sb: 0.156 0.093 0.500 (multiplicity 4)
Sb: 0.162 0.821 0.000 (multiplicity 4)

=====

Entry from the Materials Project database: LaCd3 after structural relaxation (meta-GGA r2SCAN).

Results
As for the final energy: -22.8812 eV/atom. The magnetic moment is 0.000 μB/f.u.

Unit cell a=7.374 b=7.374 c=7.374 alpha=90.00 beta=90.00 gamma=90.00
Space group Fm-3m (No. 225)
Inequivalent atoms, fractional coordinates:
La: 0.000 0.000 0.000 (multiplicity 4)
Cd: 0.000 0.000 0.500 (multiplicity 4)
Cd: 0.250 0.250 0.250 (multiplicity 8)

=====

Entry from the Materials Project database: SmDyZn2 after structural relaxation (meta-GGA r2SCAN).

Results
As for the final energy: -20.2457 eV/atom. The magnetic moment is 0.711 μB/f.u.

Unit cell a=7.168 b=7.168 c=7.168 alpha=90.00 beta=90.00 gamma=90.00
Space group Fm-3m (No. 225)
Inequivalent atoms, fractional coordinates:
Sm: 0.000 0.000 0.000 (multiplicity 4)
Dy: 0.000 0.000 0.500 (multiplicity 4)
Zn: 0.250 0.250 0.250 (multiplicity 8)

=====

Entry from the Materials Project database: Nd3Mg after structural relaxation (meta-GGA r2SCAN).

Results
As for the final energy: -23.1183 eV/atom. The magnetic moment is 0.000 μB/f.u.

Unit cell a=5.004 b=5.004 c=10.161 alpha=90.00 beta=90.00 gamma=90.00
Space group I4/mmm (No. 139)
Inequivalent atoms, fractional coordinates:
Nd: 0.000 0.000 0.000 (multiplicity 2)
Nd: 0.000 0.500 0.250 (multiplicity 4)
Mg: 0.000 0.000 0.500 (multiplicity 2)

=====

Entry from the Materials Project database: TlSbS2 after structural relaxation (meta-GGA r2SCAN).

Results
As for the final energy: -24.1277 eV/atom. The magnetic moment is 0.000 μB/f.u.

Unit cell a=6.233 b=6.263 c=6.781 alpha=115.84 beta=102.35 gamma=96.24
Space group P-1 (No. 2)
Inequivalent atoms, fractional coordinates:
Tl: 0.126 0.340 0.235 (multiplicity 2)
Sb: 0.403 0.151 0.760 (multiplicity 2)
S: 0.228 0.877 0.313 (multiplicity 2)
S: 0.357 0.529 0.757 (multiplicity 2)

=====

Entry from the Materials Project database: Sc6N2O5 after structural relaxation (meta-GGA r2SCAN).

Results
As for the final energy: -12.0944 eV/atom. The magnetic moment is 0.000 μB/f.u.

Unit cell a=9.968 b=4.399 c=6.994 alpha=90.00 beta=98.51 gamma=90.00
Space group C2/m (No. 12)
Inequivalent atoms, fractional coordinates:
Sc: 0.065 0.000 0.217 (multiplicity 4)
Sc: 0.146 0.500 0.922 (multiplicity 4)
Sc: 0.208 0.000 0.638 (multiplicity 4)
N: 0.142 0.000 0.926 (multiplicity 4)
O: 0.000 0.000 0.500 (multiplicity 2)
O: 0.078 0.500 0.203 (multiplicity 4)
O: 0.227 0.500 0.645 (multiplicity 4)

=====

Copy entry 1 word for word.
Entry from the Materials Project database: Ca5Ga2Sb6 after structural relaxation (meta-GGA r2SCAN).

Results
As for the final energy: -17.2389 eV/atom. The magnetic moment is 0.000 μB/f.u.

Unit cell a=12.154 b=14.051 c=4.469 alpha=90.00 beta=90.00 gamma=90.00
Space group Pbam (No. 55)
Inequivalent atoms, fractional coordinates:
Ca: 0.000 0.000 0.000 (multiplicity 2)
Ca: 0.092 0.248 0.000 (multiplicity 4)
Ca: 0.173 0.516 0.000 (multiplicity 4)
Ga: 0.170 0.711 0.500 (multiplicity 4)
Sb: 0.024 0.400 0.500 (multiplicity 4)
Sb: 0.156 0.093 0.500 (multiplicity 4)
Sb: 0.162 0.821 0.000 (multiplicity 4)

=====

Question: What is the magnetic moment in the sixth record?
Answer: 0.000 μB/f.u.

=====

Question: What is the formula in the second record?
Answer: LaCd3